Entry 1:
Entry from Materials Project: crystalline SrZrO3 at its relaxed geometry (PBE). Values from VASP.

Cell and atoms, written as Quantum ESPRESSO input:
```
&SYSTEM
  ibrav = 0, nat = 10, ntyp = 3
/
ATOMIC_SPECIES
Sr 87.62 Sr.upf
Zr 91.22 Zr.upf
O 16.00 O.upf
ATOMIC_POSITIONS angstrom
Sr 2.919 0.000 2.112
Sr 0.000 2.919 2.112
Zr 0.000 0.000 4.224
Zr 0.000 0.000 0.000
O 1.111 4.030 0.000
O 1.807 1.111 0.000
O 1.111 1.807 4.224
O 1.807 -1.111 4.224
O 0.000 0.000 6.336
O 0.000 0.000 2.112
CELL_PARAMETERS angstrom
-2.919 2.919 4.224
2.919 -2.919 4.224
2.919 2.919 -4.224
```

Properties
The density is 5.23 g/cm3. For the formation energy, the calculation gives -3650 meV/atom. As for the total energy: -82.5 eV for the cell shown.



Entry 2:
Entry from Materials Project: crystalline Ho2Ga3Cu at its relaxed geometry (PBE). Values from VASP.

Cell and atoms, written as Quantum ESPRESSO input:
```
&SYSTEM
  ibrav = 0, nat = 6, ntyp = 3
/
ATOMIC_SPECIES
Ho 164.93 Ho.upf
Ga 69.72 Ga.upf
Cu 63.55 Cu.upf
ATOMIC_POSITIONS angstrom
Ho 2.186 1.262 5.242
Ho 2.186 1.262 1.867
Ga 2.186 -1.262 3.407
Ga 2.186 -1.262 0.330
Ga 0.000 0.000 6.811
Cu 0.000 0.000 3.853
CELL_PARAMETERS angstrom
2.186 -3.787 0.000
2.186 3.787 0.000
0.000 0.000 7.170
```

Properties
The density is 8.43 g/cm3. For the formation energy, the calculation gives -596 meV/atom. As for the total energy: -25.9 eV for the cell shown.



Entry 3:
Entry from Materials Project: crystalline KIrN2 at its relaxed geometry (PBE). Values from VASP.

Cell and atoms, written as Quantum ESPRESSO input:
```
&SYSTEM
  ibrav = 0, nat = 64, ntyp = 3
/
ATOMIC_SPECIES
K 39.10 K.upf
Ir 192.22 Ir.upf
N 14.01 N.upf
ATOMIC_POSITIONS angstrom
K 1.447 0.102 7.423
K 4.293 5.630 9.495
K 4.246 5.834 1.036
K 1.400 11.362 15.882
K 4.246 11.362 9.495
K 1.400 5.834 7.423
K 1.447 5.630 15.882
K 4.293 0.102 1.036
K 1.819 3.027 5.336
K 4.665 2.705 11.582
K 3.874 8.759 3.123
K 1.028 8.437 13.795
K 3.874 8.437 11.582
K 1.028 8.759 5.336
K 1.819 2.705 13.795
K 4.665 3.027 3.123
Ir 4.301 0.162 5.246
Ir 1.455 5.570 11.672
Ir 1.391 5.894 3.213
Ir 4.238 11.302 13.705
Ir 1.391 11.302 11.672
Ir 4.238 5.894 5.246
Ir 4.301 5.570 13.705
Ir 1.455 0.162 3.213
Ir 4.506 3.017 7.372
Ir 1.660 2.715 9.546
Ir 1.187 8.749 1.087
Ir 4.033 8.447 15.831
Ir 1.187 8.447 9.546
Ir 4.033 8.749 7.372
Ir 4.506 2.715 15.831
Ir 1.660 3.017 1.087
N 0.299 3.482 8.459
N 3.145 2.250 8.459
N 5.394 9.214 0.000
N 2.548 7.982 16.918
N 5.394 7.982 8.459
N 2.548 9.214 8.459
N 0.299 2.250 16.918
N 3.145 3.482 0.000
N 3.863 4.727 6.700
N 1.016 1.005 10.218
N 1.830 10.459 1.759
N 4.677 6.737 15.159
N 1.830 6.737 10.218
N 4.677 10.459 6.700
N 3.863 1.005 15.159
N 1.016 4.727 1.759
N 4.698 1.953 5.782
N 1.852 3.779 11.136
N 0.995 7.685 2.677
N 3.841 9.511 14.241
N 0.995 9.511 11.136
N 3.841 7.685 5.782
N 4.698 3.779 14.241
N 1.852 1.953 2.677
N 3.229 5.544 3.649
N 0.383 0.188 13.269
N 2.464 11.276 4.810
N 5.310 5.920 12.108
N 2.464 5.920 13.269
N 5.310 11.276 3.649
N 3.229 0.188 12.108
N 0.383 5.544 4.810
CELL_PARAMETERS angstrom
5.693 0.000 0.000
0.000 11.464 0.000
0.000 0.000 16.918
```

Properties
The density is 6.24 g/cm3. For the formation energy, the calculation gives 155 meV/atom. As for the total energy: -404.5 eV for the cell shown.